[1]
The following is a r2SCAN calculation of an optimized crystal structure of PrSn6Ru4, from the Materials Project.

Cell lengths 6.9210, 6.9210, 9.8121 Å; angles 90.00, 90.00, 90.00 degrees
Space group I-42m (No. 121)
Asymmetric unit:
Pr (0.0000, 0.0000, 0.0000)
Sn (0.0000, 0.5000, 0.0000)
Sn (0.1775, 0.1775, 0.7042)
Ru (0.1709, 0.1709, 0.4207)

Summary:
The calculated density comes out at 8.9 g/cm³. The volume is 470 Å³/cell. Its crystal system is tetragonal.



[2]
The following is a r2SCAN calculation of an optimized crystal structure of MgO, from the Materials Project.

Cell lengths 3.3078, 3.3078, 4.9829 Å; angles 90.00, 90.00, 120.00 degrees
Space group P6_3mc (No. 186)
Asymmetric unit:
Mg (0.3333, 0.6667, 0.0000)
O (0.3333, 0.6667, 0.4003)

Summary:
The calculated density comes out at 2.8 g/cm³. The volume is 47 Å³/cell. Its crystal system is hexagonal.



no.,total moment (μB per formula unit),calculated total energy (eV/atom),energy relative to the elements (eV/f.u.)
1,0.00,-25.762,-3.80
2,0.00,-7.946,-5.75